An optimized crystal structure of Cu3H8S4N2O16, computed with PBE.

```
132
Lattice="-7.811 0.729 4.900 -5.152 -1.491 -7.990 0.269 -15.927 2.799" Properties=species:S:1:pos:R:3 pbc="T T T"
Cu -9.412 -10.343 -2.128
O -1.988 -2.618 1.736
N -11.575 -2.612 -3.282
Cu -1.848 -4.473 -1.912
H -6.389 -0.397 3.975
O -6.626 -8.815 2.104
O -12.512 -12.721 -1.095
O -4.898 -2.668 1.495
H -8.065 -1.226 -0.585
O -1.935 -7.273 0.623
O -9.218 -1.817 2.625
H -1.161 -14.514 2.059
H -6.617 -1.647 0.177
N -7.491 -2.008 -0.233
O -9.888 -5.008 -4.187
O -2.805 -11.680 3.896
Cu -8.409 -9.451 2.855
O -4.429 -3.376 -2.344
O -8.417 -15.407 5.314
H -4.675 -14.156 -0.778
O -6.068 -7.873 -2.396
H -7.230 -5.025 5.255
O -2.041 -0.981 -0.483
O -8.264 -13.313 2.052
Cu -4.694 -11.804 3.373
H -7.963 -7.274 0.478
O -9.588 -8.581 1.088
O -3.541 -11.025 -3.592
H -11.450 -7.099 -1.485
H -11.533 -2.174 -2.350
S -10.369 -4.286 -0.028
O -6.174 -1.581 -3.502
S -1.843 -7.583 -0.833
Cu -10.845 -12.215 1.621
O -5.101 -15.192 5.224
S -5.243 -8.643 2.634
O -10.758 -9.415 -0.914
S -11.087 -12.753 -1.413
H -5.408 -15.000 -4.960
O -4.389 -5.735 -1.929
O -6.481 -12.298 0.732
O -1.513 -11.185 -0.572
O -4.565 -7.785 1.589
H -6.287 -6.445 5.037
H -1.244 -9.589 1.193
N -1.119 -14.076 2.990
H -6.533 -6.572 1.042
O -1.472 -13.625 -0.143
S -7.377 -12.113 1.871
H -7.966 -5.680 1.040
N -5.277 -10.287 -0.831
S -5.134 -15.043 3.759
O -10.239 -12.524 -0.196
O -7.472 -8.686 -4.252
O -8.191 -6.739 -2.913
N -5.203 -14.681 -0.059
Cu -3.282 -6.345 1.836
O -7.593 -1.496 -5.515
O -3.227 -0.918 -2.643
S -10.851 -9.105 0.542
O -8.304 -10.953 1.638
O -6.075 -4.812 -3.436
Cu -4.284 -7.238 -3.146
H -6.305 -16.291 -4.266
H -7.286 -1.688 4.668
O -10.652 -15.708 0.192
O -6.619 -11.876 3.144
S -5.316 -3.771 2.413
S -7.559 -1.645 -4.051
O -3.052 -12.196 0.982
O -4.692 -0.256 0.266
H -7.178 -6.016 -0.389
O -8.544 -7.878 3.991
O -0.182 -3.967 0.804
O -6.213 -4.390 -1.023
N -1.193 -9.682 2.218
O -9.153 -5.664 3.301
O -8.001 -16.432 -0.558
O -4.857 -5.107 1.924
O -9.467 -15.770 2.352
S -10.743 -15.506 1.667
O -5.222 -8.003 3.960
H -1.971 -10.279 2.550
O -7.837 -11.581 -2.215
O -4.277 -1.281 -5.605
O -9.642 -4.492 -1.274
O -7.796 -14.021 -1.787
O -11.222 -3.063 -0.148
O -4.437 -13.796 3.298
Cu -8.000 -4.885 -3.664
O -9.338 -4.074 1.079
O -4.150 -8.810 -4.282
H -10.776 -3.261 -3.395
H -4.730 -9.414 -0.770
Cu -3.364 -1.483 0.982
H -6.160 -10.116 -1.334
O -11.180 -5.503 0.280
H -6.407 -10.244 -5.329
O -10.745 -11.711 -2.442
O -5.925 -12.914 -2.826
O -1.948 -4.977 2.150
O -3.355 -12.615 -1.370
N -7.416 -6.402 0.540
N -11.500 -7.006 -2.509
S -1.607 -3.936 1.121
H -6.077 -15.041 -0.468
H -4.628 -15.462 0.293
S -2.325 -12.403 -0.264
O -2.455 -4.164 -0.095
O -8.256 -2.892 -3.589
O -3.476 -14.872 -2.916
O -10.706 -14.071 -2.027
Cu -4.366 -2.376 -4.001
O -6.520 -15.107 3.210
H -5.464 -11.664 -5.546
S -1.951 -1.183 -1.958
H -5.460 -14.010 0.684
H -8.019 -2.533 0.487
S -7.451 -8.046 -2.926
O -8.129 -8.903 -1.881
Cu -8.327 -14.313 3.709
Cu -9.329 -15.205 -1.273
H -10.723 -6.409 -2.842
S -5.317 -4.575 -2.162
O -6.768 -3.775 2.535
H -7.234 -2.679 -0.975
H -5.516 -10.673 0.097
O -4.502 -9.949 2.622
S -7.378 -12.917 -2.705
H -4.728 -11.008 -1.331
H -1.918 -13.427 3.104
O -3.105 -8.107 -1.380
```

- MP2020-corrected energy: -194.7 eV/f.u.
- DFT total energy: -0.4091 Ry per atom
- DFT formation energy: -1298 meV per atom